V4NiSb4 | PBE | relaxed

Geometry as POSCAR:
```
V4NiSb4
1.0
4.252 0.000 0.000
-2.126 3.682 0.000
0.000 0.000 10.942
V Ni Sb
4 1 4
Cartesian
0.000 0.000 1.366 V
0.000 0.000 4.096 V
0.000 0.000 6.845 V
0.000 0.000 9.576 V
0.000 2.455 0.000 Ni
0.000 2.455 2.736 Sb
0.000 2.455 8.206 Sb
2.126 1.227 0.000 Sb
2.126 1.227 5.471 Sb
```

## Properties
Total magnetization in μB per formula unit: 5.61
V in Å³ per atom: 19.04
Energy relative to the elements in eV/atom: -0.1215
Raw total energy in Ha/atom: -0.2407

CsLiTaP2O8 | PBE | relaxed

Geometry as POSCAR:
```
CsLiTaP2O8
1.0
5.100 0.000 0.000
2.376 4.514 0.000
1.725 1.052 9.574
Cs Li Ta P O
1 1 1 2 8
Cartesian
0.000 0.000 0.000 Cs
7.284 4.397 6.856 Li
7.718 4.660 4.187 Ta
2.796 1.689 2.510 P
5.133 3.099 6.002 P
1.839 1.111 3.616 O
2.886 3.221 2.771 O
3.716 3.730 5.794 O
2.340 1.414 1.098 O
5.692 3.437 7.386 O
4.194 1.054 2.771 O
5.031 1.551 5.794 O
6.098 3.682 4.918 O
```

## Properties
Total magnetization in μB per formula unit: 1.01
V in Å³ per atom: 16.95
Energy relative to the elements in eV/atom: -2.7295
Raw total energy in Ha/atom: -0.2687

CrFe3N | PBE | relaxed

Geometry as POSCAR:
```
CrFe3N
1.0
3.809 0.000 0.000
0.000 3.809 0.000
0.000 0.000 3.809
Cr Fe N
1 3 1
Cartesian
0.000 0.000 0.000 Cr
0.000 1.905 1.905 Fe
1.905 0.000 1.905 Fe
1.905 1.905 0.000 Fe
1.905 1.905 1.905 N
```

## Properties
Total magnetization in μB per formula unit: 8.52
V in Å³ per atom: 11.06
Energy relative to the elements in eV/atom: 0.1095
Raw total energy in Ha/atom: -0.3123

LiMg4SnO8 | PBE | relaxed

Geometry as POSCAR:
```
LiMg4SnO8
1.0
6.065 0.000 0.000
-3.032 5.252 0.000
0.000 0.000 10.027
Li Mg Sn O
2 8 2 16
Cartesian
0.000 0.000 0.000 Li
0.000 0.000 5.014 Li
0.000 1.792 2.823 Mg
-1.480 4.356 2.823 Mg
0.000 3.501 5.922 Mg
1.552 0.896 7.836 Mg
1.480 4.356 2.823 Mg
3.032 1.751 0.909 Mg
4.513 0.896 7.836 Mg
3.032 3.460 7.836 Mg
0.000 3.501 0.051 Sn
3.032 1.751 5.065 Sn
0.000 0.000 1.847 O
0.000 0.000 6.861 O
-1.376 2.707 1.480 O
0.000 1.720 9.010 O
-1.542 4.392 9.010 O
1.490 0.860 3.996 O
0.000 3.501 3.943 O
1.376 2.707 1.480 O
0.000 5.090 1.480 O
3.032 0.162 6.494 O
1.656 2.545 6.494 O
3.032 1.751 8.957 O
1.542 4.392 9.010 O
4.575 0.860 3.996 O
3.032 3.532 3.996 O
4.408 2.545 6.494 O
```

## Properties
Total magnetization in μB per formula unit: 3.00
V in Å³ per atom: 11.41
Energy relative to the elements in eV/atom: -2.2736
Raw total energy in Ha/atom: -0.2054